# 1
First-principles (PBE-GGA) data for crystalline CaB2O10 at its relaxed geometry, as listed in the Materials Project database.

Lattice parameters (Å, degrees): 7.393 7.393 8.604 76.27 76.27 54.23
Fractional positions:
Ca 0.058 0.942 0.250
Ca 0.942 0.058 0.750
B 0.758 0.432 0.034
B 0.568 0.242 0.466
B 0.242 0.568 0.966
B 0.432 0.758 0.534
O 0.989 0.254 0.058
O 0.746 0.011 0.442
O 0.011 0.746 0.942
O 0.254 0.989 0.558
O 0.612 0.640 0.021
O 0.360 0.388 0.479
O 0.388 0.360 0.979
O 0.640 0.612 0.521
O 0.921 0.427 0.733
O 0.573 0.079 0.767
O 0.079 0.573 0.267
O 0.427 0.921 0.233
O 0.807 0.213 0.027
O 0.787 0.193 0.473
O 0.193 0.787 0.973
O 0.213 0.807 0.527
O 0.437 0.026 0.816
O 0.974 0.563 0.684
O 0.563 0.974 0.184
O 0.026 0.437 0.316

Results
Space group: C2/c, No. 15



# 2
First-principles (PBE-GGA) data for crystalline CaB2O8 at its relaxed geometry, as listed in the Materials Project database.

Lattice parameters (Å, degrees): 5.614 7.881 12.777 90.00 90.00 90.00
Fractional positions:
Ca 0.000 0.000 0.721
Ca 0.000 0.000 0.279
Ca 0.000 0.500 0.779
Ca 0.000 0.500 0.221
B 0.716 0.208 0.892
B 0.716 0.792 0.108
B 0.284 0.208 0.108
B 0.284 0.792 0.892
B 0.284 0.292 0.608
B 0.284 0.708 0.392
B 0.716 0.292 0.392
B 0.716 0.708 0.608
O 0.969 0.190 0.879
O 0.969 0.810 0.121
O 0.031 0.190 0.121
O 0.031 0.810 0.879
O 0.031 0.310 0.621
O 0.031 0.690 0.379
O 0.969 0.310 0.379
O 0.969 0.690 0.621
O 0.620 0.144 0.001
O 0.620 0.856 0.999
O 0.380 0.144 0.999
O 0.380 0.856 0.001
O 0.380 0.356 0.499
O 0.380 0.644 0.501
O 0.620 0.356 0.501
O 0.620 0.644 0.499
O 0.630 0.120 0.804
O 0.630 0.880 0.196
O 0.370 0.120 0.196
O 0.370 0.880 0.804
O 0.370 0.380 0.696
O 0.370 0.620 0.304
O 0.630 0.380 0.304
O 0.630 0.620 0.696
O 0.706 0.388 0.890
O 0.706 0.612 0.110
O 0.294 0.388 0.110
O 0.294 0.612 0.890
O 0.294 0.112 0.610
O 0.294 0.888 0.390
O 0.706 0.112 0.390
O 0.706 0.888 0.610

Results
Space group: Pban, No. 50



# 3
First-principles (PBE-GGA) data for crystalline CaSiBO5 at its relaxed geometry, as listed in the Materials Project database.

Lattice parameters (Å, degrees): 7.720 4.972 9.585 88.33 90.00 90.00
Fractional positions:
Ca 0.617 0.008 0.829
Ca 0.117 0.992 0.671
Ca 0.383 0.992 0.171
Ca 0.883 0.008 0.329
Si 0.755 0.531 0.587
Si 0.255 0.469 0.913
Si 0.245 0.469 0.413
Si 0.745 0.531 0.087
B 0.906 0.438 0.829
B 0.406 0.562 0.671
B 0.094 0.562 0.171
B 0.594 0.438 0.329
O 0.897 0.763 0.548
O 0.397 0.237 0.952
O 0.103 0.237 0.452
O 0.603 0.763 0.048
O 0.795 0.358 0.948
O 0.295 0.642 0.552
O 0.205 0.642 0.052
O 0.705 0.358 0.448
O 0.831 0.305 0.703
O 0.331 0.695 0.797
O 0.169 0.695 0.297
O 0.669 0.305 0.203
O 0.581 0.673 0.652
O 0.081 0.327 0.848
O 0.419 0.327 0.348
O 0.919 0.673 0.152
O 0.902 0.732 0.802
O 0.402 0.268 0.698
O 0.098 0.268 0.198
O 0.598 0.732 0.302

Results
Space group: P2_1/c, No. 14



# 4
First-principles (PBE-GGA) data for crystalline Ca4Si3B5O20 at its relaxed geometry, as listed in the Materials Project database.

Lattice parameters (Å, degrees): 4.955 7.640 9.468 90.03 91.91 90.14
Fractional positions:
Ca 0.998 0.379 0.824
Ca 0.003 0.885 0.674
Ca 0.004 0.611 0.174
Ca 0.995 0.119 0.333
Si 0.525 0.743 0.911
Si 0.530 0.756 0.414
Si 0.471 0.256 0.086
B 0.548 0.100 0.821
B 0.442 0.591 0.668
B 0.433 0.907 0.170
B 0.560 0.399 0.338
B 0.494 0.252 0.587
O 0.270 0.128 0.559
O 0.766 0.607 0.950
O 0.761 0.898 0.455
O 0.243 0.402 0.047
O 0.255 0.100 0.800
O 0.735 0.602 0.695
O 0.728 0.901 0.196
O 0.267 0.395 0.310
O 0.358 0.407 0.649
O 0.658 0.920 0.839
O 0.672 0.578 0.353
O 0.322 0.082 0.149
O 0.642 0.206 0.945
O 0.349 0.704 0.551
O 0.352 0.792 0.050
O 0.638 0.288 0.458
O 0.681 0.176 0.695
O 0.301 0.658 0.795
O 0.301 0.833 0.298
O 0.697 0.327 0.208

Results
Space group: P1, No. 1



Computed values of DFT formation energy (unit: meV/atom) for the preceding records, in sequence: -1078 -1183 -2979 -2876.